29
Lattice="0.000 6.106 6.106 6.106 0.000 6.106 6.106 6.106 0.000" Properties=species:S:1:pos:R:3 comment="Ti6Al16Pd7, relaxed, DFT PBE" formation_enthalpy_0k_kj_per_mol_fu=-1789 pbc="T T T"
Ti 6.106 6.106 2.104
Ti 6.106 2.104 6.106
Ti 10.107 6.106 6.106
Ti 2.104 6.106 6.106
Ti 6.106 10.107 6.106
Ti 6.106 6.106 10.107
Al 7.577 4.635 4.635
Al 1.951 1.951 1.951
Al 4.154 4.154 1.951
Al 4.154 1.951 4.154
Al 4.635 4.635 4.635
Al 7.577 7.577 4.635
Al 7.577 4.635 7.577
Al 10.260 8.057 8.057
Al 1.951 4.154 4.154
Al 4.635 7.577 4.635
Al 4.635 4.635 7.577
Al 7.577 7.577 7.577
Al 8.057 10.260 8.057
Al 8.057 8.057 10.260
Al 10.260 10.260 10.260
Al 4.635 7.577 7.577
Pd 3.053 3.053 0.000
Pd 3.053 0.000 3.053
Pd 6.106 3.053 3.053
Pd 0.000 3.053 3.053
Pd 3.053 6.106 3.053
Pd 3.053 3.053 6.106
Pd 6.106 6.106 6.106


12
Lattice="6.833 0.000 0.000 0.000 4.403 0.000 0.000 0.000 7.744" Properties=species:S:1:pos:R:3 comment="TmAlPd, relaxed, DFT PBE" formation_enthalpy_0k_kj_per_mol_fu=-260 pbc="T T T"
Tm 0.219 1.101 1.382
Tm 3.197 3.302 5.255
Tm 3.636 1.101 2.490
Tm 6.613 3.302 6.362
Al 0.976 1.101 4.337
Al 2.440 3.302 0.464
Al 4.392 1.101 7.280
Al 5.857 3.302 3.408
Pd 1.570 3.302 2.929
Pd 1.847 1.101 6.801
Pd 4.986 3.302 0.943
Pd 5.263 1.101 4.815


37
Lattice="7.481 0.000 0.000 3.706 6.558 0.000 2.441 -0.030 13.024" Properties=species:S:1:pos:R:3 comment="Tm4Al24Pd9, relaxed, DFT PBE" formation_enthalpy_0k_kj_per_mol_fu=-2498 pbc="T T T"
Tm 2.444 2.158 4.020
Tm 7.391 6.524 9.009
Tm 6.237 0.004 4.015
Tm 11.184 4.369 9.004
Al 3.694 4.354 5.790
Al 3.770 4.359 2.233
Al 2.464 2.184 0.760
Al 3.695 -0.026 12.256
Al 5.429 5.691 4.107
Al 6.202 4.304 10.805
Al 6.175 4.361 7.127
Al 3.730 -0.009 5.792
Al 5.880 2.187 8.896
Al 5.436 2.994 4.118
Al 7.416 6.516 2.233
Al 6.202 4.369 0.788
Al 7.426 2.159 12.235
Al 6.212 0.012 10.791
Al 8.192 3.534 8.906
Al 7.747 4.340 4.127
Al 9.898 6.537 7.231
Al 7.453 2.166 5.897
Al 7.426 2.224 2.218
Al 8.199 0.836 8.917
Al 9.933 6.553 0.768
Al 11.163 4.344 12.264
Al 9.858 2.168 10.791
Al 9.933 2.174 7.233
Pd 1.220 -0.015 6.512
Pd 1.206 0.045 1.804
Pd 4.873 2.159 11.215
Pd 4.895 2.142 6.506
Pd 4.927 2.131 1.791
Pd 8.701 4.396 11.233
Pd 8.733 4.386 6.518
Pd 8.754 4.368 1.809
Pd 12.422 6.483 11.220


6
Lattice="5.384 0.000 0.000 -2.692 4.663 0.000 0.000 0.000 4.240" Properties=species:S:1:pos:R:3 comment="UAl3Pd2, relaxed, DFT PBE" formation_enthalpy_0k_kj_per_mol_fu=-335 pbc="T T T"
U 0.000 0.000 0.000
Al -1.346 2.331 2.120
Al 2.692 0.000 2.120
Al 1.346 2.331 2.120
Pd 0.000 3.109 0.000
Pd 2.692 1.554 0.000


We obtain calculated volume values of 455.3, 233.0, 638.9, 106.4 Å³/cell for the records listed above, in that order.